Entry 1:
Density functional theory data (PBE+U) for crystalline CaNiAsHO5 at its relaxed geometry.

Magnetic moment = 8.001 Bohr magnetons per cell
Energy of formation from the pure elements = -2.062 eV/atom

Geometry as extended XYZ:
```
36
Lattice="6.000 0.000 0.000 0.000 7.527 0.000 0.000 0.000 9.015" Properties=species:S:1:pos:R:3 pbc="T T T"
O 0.008 4.543 8.357
O 5.939 7.070 0.541
O 3.060 0.457 5.048
O 5.991 0.780 5.165
O 3.008 6.747 0.658
O 1.519 6.711 7.167
O 4.519 4.579 1.848
O 4.394 6.412 6.973
O 2.992 2.983 3.850
O 5.478 5.938 3.973
O 1.605 2.649 6.549
O 0.521 2.175 0.534
O 4.481 2.947 6.356
O 2.479 5.352 5.042
O 4.605 1.115 2.466
O 3.521 1.589 8.481
O 1.481 0.816 2.659
O 2.940 4.220 8.474
O 0.060 3.306 3.967
O 1.394 4.878 2.042
Ni 1.540 1.825 4.540
Ni 4.540 1.938 4.475
Ni 4.460 5.589 8.983
Ni 1.460 5.701 0.032
As 3.100 2.855 7.397
As 0.100 0.908 1.618
As 2.900 6.618 6.126
As 5.899 4.672 2.889
H 2.929 3.841 4.341
H 5.929 7.449 4.674
H 0.071 3.686 8.848
H 3.071 0.078 0.167
Ca 2.849 2.803 1.562
Ca 5.848 0.960 7.453
Ca 0.151 4.724 6.070
Ca 3.151 6.567 2.945
```


Entry 2:
Density functional theory data (PBE+U) for crystalline CaAsH5W2O4 at its relaxed geometry.

Magnetic moment = 15.968 Bohr magnetons per cell
Energy of formation from the pure elements = -0.502 eV/atom

Geometry as extended XYZ:
```
26
Lattice="-0.247 0.000 -5.843 6.008 0.000 2.717 -2.880 -10.589 1.563" Properties=species:S:1:pos:R:3 pbc="T T T"
O 3.336 -7.787 -0.308
O 3.162 -3.446 -1.546
O 1.016 -5.296 -0.909
O 0.333 -2.802 -1.667
O 0.159 -7.144 -2.904
O 1.850 -4.467 -3.548
O 4.019 -5.293 0.450
O -0.908 -6.122 0.937
H 2.170 -1.705 0.421
H 0.405 -6.943 -1.971
H 5.748 -0.142 0.981
H 2.744 -10.448 -0.377
H -0.450 -2.423 -4.825
H 2.928 -0.930 -2.666
H -0.834 -8.884 -0.938
H 0.171 -9.659 1.819
H 3.408 -3.646 -0.613
H 2.801 -8.166 2.377
Ca 1.754 -6.371 1.032
Ca 4.758 -4.219 2.391
W -2.579 -9.408 -1.495
W 0.425 -1.181 -0.137
W 0.515 -9.886 -0.005
W 3.519 -0.704 1.354
As 1.513 -4.024 -1.948
As -1.490 -6.565 -3.307
```


Entry 3:
Density functional theory data (PBE+U) for crystalline Ca4Mg4V3AsO20 at its relaxed geometry.

Magnetic moment = 4.001 Bohr magnetons per cell
Energy of formation from the pure elements = -2.592 eV/atom

Geometry as extended XYZ:
```
32
Lattice="6.060 0.000 0.000 0.006 7.431 0.000 0.027 0.060 9.153" Properties=species:S:1:pos:R:3 pbc="T T T"
V 0.112 2.872 6.257
V 2.951 4.613 1.674
V 5.996 6.598 7.482
Ca 5.896 2.788 3.106
Ca 0.164 6.452 1.494
Ca 3.214 4.734 7.658
Ca 2.895 1.033 6.066
O 0.045 6.620 3.766
O 0.093 0.525 8.619
O 4.598 6.670 6.422
O 5.624 5.309 8.551
O 4.491 0.792 1.829
O 0.495 1.582 5.194
O 1.510 2.960 7.315
O 3.075 4.611 5.377
O 3.555 2.188 3.975
O 6.026 2.856 0.817
O 3.023 0.896 8.345
O 1.548 4.545 2.728
O 1.634 1.104 2.050
O 2.571 5.884 0.590
O 6.005 4.226 5.125
O 4.477 4.867 2.530
O 1.451 6.350 6.612
O 4.650 2.635 7.119
O 3.100 3.244 0.556
O 2.983 6.990 3.993
Mg 1.501 5.553 4.609
Mg 4.589 1.855 9.114
Mg 1.548 1.911 0.050
Mg 4.534 5.675 4.529
As 3.132 0.912 2.901
```


Entry 4:
Density functional theory data (PBE+U) for crystalline CaMnAsO5 at its relaxed geometry.

Magnetic moment = 16.006 Bohr magnetons per cell
Energy of formation from the pure elements = -2.336 eV/atom

Geometry as extended XYZ:
```
32
Lattice="-1.763 -5.082 -2.506 6.971 -3.027 1.237 -2.756 -3.038 8.098" Properties=species:S:1:pos:R:3 pbc="T T T"
Mn 2.061 -6.590 8.373
Mn -0.939 -6.097 2.513
Mn -0.087 -3.516 3.707
Mn 3.871 -6.092 -0.936
O 1.368 -3.135 2.096
O -1.392 -5.762 6.867
O -2.443 -6.566 1.095
O 2.799 -7.048 4.070
O 3.712 -3.961 4.192
O 3.316 -4.673 0.158
O 3.777 -1.978 1.242
O 4.061 -7.188 0.967
O -2.348 -6.344 4.191
O 5.320 -4.613 2.113
O -0.214 -5.523 -1.471
O 0.557 -5.527 3.903
O 1.823 -5.628 6.403
O 3.014 -8.224 7.418
O -1.134 -4.240 2.329
O 0.674 -5.955 1.051
O 0.972 -2.882 5.120
O 1.751 -10.500 6.050
O -1.709 -3.688 5.155
O 0.621 -8.039 5.339
Ca 0.117 -3.696 7.100
Ca -0.347 -3.623 0.252
Ca 2.775 -5.397 2.279
Ca 2.360 -9.579 4.027
As 1.457 -6.564 4.993
As 0.478 -6.724 -0.487
As -2.326 -5.258 5.539
As 5.296 -3.749 3.611
```


Entry 5:
Density functional theory data (PBE+U) for crystalline Ca2MnAs2O10 at its relaxed geometry.

Magnetic moment = 2.005 Bohr magnetons per cell
Energy of formation from the pure elements = -2.042 eV/atom

Geometry as extended XYZ:
```
30
Lattice="-13.135 -0.598 -3.326 1.308 -2.395 -4.733 -0.046 -5.647 1.196" Properties=species:S:1:pos:R:3 pbc="T T T"
O -1.454 -4.897 0.526
O -6.865 -5.370 -2.500
O 0.338 -2.959 -3.112
O -9.179 -3.922 -1.921
O -7.501 -3.344 -6.787
O -1.595 -6.396 -1.906
O -4.472 -6.262 -2.770
O -9.762 -5.176 -4.600
O -10.419 -3.742 -7.390
O -5.008 -3.269 -4.364
O -5.786 -2.011 -2.131
O -12.211 -5.681 -3.751
O -7.401 -2.378 -4.094
O -2.111 -3.464 -2.263
O -0.483 -1.836 -0.686
O -4.373 -5.296 -0.077
O -11.390 -6.803 -6.178
O -10.278 -2.243 -4.958
O -2.694 -4.718 -4.943
O -6.087 -6.629 -4.733
As -8.156 -5.142 -1.313
As -3.717 -3.497 -5.551
As -1.030 -2.148 -2.338
As -10.843 -6.492 -4.525
Mn -5.914 -1.496 -4.030
Mn 0.000 0.000 0.000
Ca -11.025 -3.540 -3.264
Ca -4.334 -4.032 -1.950
Ca -7.540 -4.608 -4.914
Ca -0.848 -5.100 -3.599
```


Entry 6:
Density functional theory data (PBE+U) for crystalline CaMnAs2O7 at its relaxed geometry.

Magnetic moment = 20.002 Bohr magnetons per cell
Energy of formation from the pure elements = -2.203 eV/atom

Geometry as extended XYZ:
```
44
Lattice="9.234 0.000 0.000 0.000 7.609 0.000 0.000 3.557 8.953" Properties=species:S:1:pos:R:3 pbc="T T T"
O 8.012 7.439 7.911
O 2.478 7.594 7.202
O 5.838 5.660 3.435
O 5.682 8.909 3.614
O 8.385 1.225 2.766
O 7.420 3.002 4.814
O 6.431 1.223 0.337
O 5.465 3.004 7.243
O 7.896 7.795 5.150
O 1.065 0.480 0.863
O 3.768 8.163 1.710
O 1.221 3.728 1.042
O 0.838 5.377 6.928
O 3.279 5.151 8.280
O 5.954 6.016 0.673
O 3.552 2.258 5.339
O 8.169 10.687 8.090
O 2.139 5.816 2.725
O 0.848 9.941 6.187
O 1.337 3.372 3.803
O 8.395 5.790 2.025
O 6.755 3.573 1.751
O 3.779 3.598 2.452
O 1.814 8.165 4.139
O 5.455 7.569 6.502
O 2.803 9.943 8.616
O 7.095 5.351 6.228
O 3.396 5.507 5.518
As 2.175 4.144 2.389
As 7.316 9.090 4.061
As 6.534 10.869 8.537
As 7.059 7.023 6.564
As 2.700 0.298 0.416
As 6.792 5.244 2.087
As 1.917 2.077 4.892
As 2.442 5.923 6.866
Mn 5.124 2.196 1.697
Mn 4.110 8.971 7.256
Mn 0.507 7.193 2.779
Mn 8.726 3.974 6.174
Ca 0.617 8.944 8.323
Ca 5.234 4.001 5.107
Ca 4.000 7.166 3.846
Ca 8.617 2.223 0.630
```


Entry 7:
Density functional theory data (PBE+U) for crystalline CaMoAsO5 at its relaxed geometry.

Magnetic moment = 6.000 Bohr magnetons per cell
Energy of formation from the pure elements = -2.210 eV/atom

Geometry as extended XYZ:
```
32
Lattice="-2.924 -5.271 -1.189 7.170 -3.328 2.400 -3.702 0.314 8.695" Properties=species:S:1:pos:R:3 pbc="T T T"
O -2.872 -6.099 8.569
O -1.901 -3.300 8.638
O -1.819 -0.383 3.965
O 0.888 -4.156 5.743
O 0.849 -4.717 2.141
O -0.757 -2.124 1.375
O -0.178 -5.869 7.899
O -5.490 -4.493 5.842
O -3.591 -1.987 5.440
O 2.777 -6.635 3.752
O -2.278 -4.860 1.216
O 1.996 -2.140 4.070
O -2.495 -3.186 3.334
O -1.778 -4.640 6.119
O 1.039 -3.139 8.550
O 4.161 -4.181 3.713
O -0.574 -6.912 5.418
O 4.954 -6.023 1.568
O 6.195 -3.014 2.362
O -0.618 -1.643 7.001
As 2.428 -3.149 5.459
As 0.366 -4.697 0.455
As 0.607 -6.826 9.123
As -1.973 -2.081 4.749
Mo -0.387 -3.778 7.343
Mo -2.037 -6.488 6.753
Mo 4.665 -6.201 3.723
Mo 5.915 -3.446 4.454
Ca 2.771 -3.146 2.154
Ca -0.725 -5.169 3.733
Ca 2.248 -6.702 6.207
Ca -3.681 -1.386 7.630
```


Entry 8:
Density functional theory data (PBE+U) for crystalline CaNiAs2O7 at its relaxed geometry.

Magnetic moment = 8.000 Bohr magnetons per cell
Energy of formation from the pure elements = -2.032 eV/atom

Geometry as extended XYZ:
```
44
Lattice="9.068 0.000 0.000 0.000 7.425 0.000 0.000 3.280 8.842" Properties=species:S:1:pos:R:3 pbc="T T T"
Ca 0.594 8.608 8.289
Ca 3.940 6.968 3.868
Ca 5.127 3.737 4.974
Ca 8.474 2.097 0.553
O 2.107 5.668 2.656
O 8.321 5.583 1.923
O 3.241 4.873 8.170
O 8.275 1.057 2.687
O 5.797 5.511 3.444
O 5.280 7.223 6.344
O 1.292 3.233 3.749
O 5.327 2.697 7.108
O 3.741 8.008 1.734
O 6.960 5.037 6.186
O 1.698 7.838 4.068
O 1.263 3.555 0.977
O 3.478 1.995 5.286
O 7.805 7.151 7.865
O 7.775 7.473 5.093
O 0.793 9.648 6.155
O 7.370 2.868 4.774
O 6.641 3.397 1.765
O 2.426 7.308 7.077
O 3.271 5.195 5.398
O 8.012 10.350 7.977
O 2.836 9.478 8.489
O 5.589 8.710 3.556
O 3.787 3.482 2.498
O 1.056 0.355 0.865
O 0.747 5.122 6.919
O 6.232 1.228 0.353
O 5.826 5.833 0.672
As 7.241 8.778 4.004
As 2.366 5.632 6.774
As 2.708 0.288 0.417
As 6.900 6.714 6.489
As 2.168 3.992 2.353
As 6.360 10.418 8.425
As 1.826 1.928 4.838
As 6.701 5.074 2.068
Ni 5.058 2.108 1.726
Ni 0.524 6.958 2.695
Ni 4.009 8.598 7.116
Ni 8.543 3.748 6.147
```


Entry 9:
Density functional theory data (PBE+U) for crystalline Ca3Ni3As4O16 at its relaxed geometry.

Magnetic moment = 12.000 Bohr magnetons per cell
Energy of formation from the pure elements = -2.105 eV/atom

Geometry as extended XYZ:
```
52
Lattice="5.122 0.000 0.000 0.000 9.193 0.000 0.000 7.668 15.431" Properties=species:S:1:pos:R:3 pbc="T T T"
O 4.610 10.537 5.373
O 2.050 2.490 2.342
O 2.316 9.438 4.048
O 3.312 7.888 14.000
O 0.784 6.791 13.241
O 3.345 13.903 9.905
O 0.324 9.952 15.338
O 1.000 9.128 9.273
O 1.988 6.400 4.817
O 1.809 8.972 1.431
O 2.885 10.743 7.808
O 3.593 8.296 8.975
O 0.511 6.323 10.058
O 4.370 4.054 6.285
O 1.032 12.398 14.171
O 0.751 12.806 9.146
O 4.798 6.909 0.093
O 4.338 10.069 2.190
O 2.237 6.118 7.623
O 3.072 14.371 13.088
O 3.134 10.460 10.614
O 3.561 11.566 13.873
O 4.090 4.462 1.260
O 0.573 10.234 12.532
O 4.877 3.589 3.668
O 4.549 6.626 2.898
O 1.777 2.958 5.526
O 1.529 8.565 6.456
O 2.806 7.423 11.383
O 0.245 13.272 11.763
O 1.561 5.294 1.558
O 4.122 7.732 6.157
Ca 2.743 4.617 3.543
Ca 0.000 0.000 0.000
Ca 4.940 8.450 11.259
Ca 2.379 12.244 11.887
Ca 2.561 3.834 7.715
Ca 0.182 8.410 4.172
As 5.072 13.883 10.166
As 5.061 5.911 1.459
As 2.511 6.811 12.980
As 0.050 2.977 5.265
As 2.611 10.050 2.451
As 2.500 7.116 6.256
As 0.060 10.949 13.971
As 2.621 9.745 9.175
Ni 0.091 2.750 1.881
Ni 2.652 10.277 5.834
Ni 2.561 4.596 0.000
Ni 2.470 6.583 9.597
Ni 5.031 14.111 13.549
Ni 0.000 8.430 7.715
```


Entry 10:
Density functional theory data (PBE+U) for crystalline CaVAsO5 at its relaxed geometry.

Magnetic moment = 8.000 Bohr magnetons per cell
Energy of formation from the pure elements = -2.485 eV/atom

Geometry as extended XYZ:
```
32
Lattice="-2.728 -8.534 1.045 -0.160 -0.680 -5.970 7.315 -2.333 0.048" Properties=species:S:1:pos:R:3 pbc="T T T"
V -0.352 -7.300 -2.224
V -0.172 -7.036 0.779
V 4.784 -4.228 -2.656
V 4.578 -4.575 -5.649
O 4.915 -6.674 -5.329
O 1.141 -5.743 -2.519
O -1.671 -8.572 0.904
O 5.780 -3.957 -4.281
O 3.373 -7.919 -3.216
O 1.307 -6.401 -5.335
O 6.252 -3.828 -1.214
O 0.681 -3.844 -4.673
O -1.992 -8.584 -1.979
O 3.363 -8.903 -0.058
O 3.202 -4.618 -4.052
O 3.628 -4.476 -1.141
O 5.373 -6.235 -2.498
O 1.456 -2.368 -1.816
O 4.477 -2.079 -2.815
O 0.816 -8.208 -0.669
O -1.422 -6.460 -3.818
O -0.896 -6.160 -0.772
O 4.161 -1.886 0.058
O 0.345 -8.490 -3.562
As 4.887 -7.354 -3.737
As 1.549 -5.199 -4.110
As 0.579 -0.941 -1.539
As 1.838 -9.600 -0.369
Ca 3.088 -6.662 -1.013
Ca 2.255 -2.021 -4.216
Ca -0.062 -4.080 -0.905
Ca 3.570 -10.341 -3.620
```


Among the records above, which one has the highest magnetic moment?
CaMnAs2O7


Among the records above, which one has the lowest magnetic moment?
Ca2MnAs2O10


Among the records above, which one has the lowest magnetic moment?
Ca2MnAs2O10